(1)
Below is crystalline Na6Ti4In4Si5S7O48 at its relaxed geometry, with properties calculated at the PBE level.

Unit cell a=17.8260 b=8.8915 c=22.8091 alpha=90.07 beta=89.84 gamma=120.00
Fractional positions:
O: 0.1732 0.5065 0.0674
O: 0.5782 0.1695 0.6953
O: 0.5005 0.8089 0.6956
S: 0.9785 0.3312 0.5817
O: 0.7494 0.3462 0.4295
O: 0.9234 0.4880 0.4294
O: 0.2177 0.1395 0.5203
S: 0.4805 0.6296 0.0815
O: 0.7407 0.1711 0.5262
O: 0.4098 0.0187 0.0873
In: 0.4990 0.0066 0.8537
In: 0.3326 0.3452 0.1854
O: 0.7416 0.3829 0.1391
S: 0.9972 0.2857 0.2478
O: 0.0847 0.0217 0.5921
S: 0.5188 0.6652 0.4170
Si: 0.1798 0.0375 0.5823
In: 0.8305 0.3183 0.9883
S: 0.6441 0.0045 0.2525
Na: 0.6725 0.6609 0.1626
O: 0.4511 0.5304 0.1380
S: 0.0195 0.3740 0.9170
O: 0.6652 0.4945 0.0734
Si: 0.6796 0.3247 0.0821
O: 0.2679 0.8429 0.7488
O: 0.6072 0.1892 0.8132
O: 0.4222 0.3576 0.9323
S: 0.3158 0.9646 0.4189
Na: 0.8268 0.3334 0.3406
Na: 0.1826 0.6633 0.1650
Si: 0.1912 0.3449 0.0821
O: 0.5693 0.6552 0.0722
O: 0.2545 0.8587 0.0728
Ti: 0.9983 0.9805 0.8504
S: 0.4855 0.3350 0.5841
O: 0.9485 0.3709 0.6372
O: 0.4205 0.5233 0.7437
S: 0.1440 0.2836 0.7526
In: 0.3238 0.3336 0.6777
Na: 0.0015 0.0090 0.9949
O: 0.4223 0.5350 0.0328
O: 0.4880 0.8023 0.0875
O: 0.8268 0.5126 0.9249
O: 0.5760 0.6977 0.7496
O: 0.9983 0.8134 0.0930
O: 0.0118 0.2014 0.9153
In: 0.8267 0.3159 0.6886
Si: 0.4996 0.2943 0.2488
Si: 0.0195 0.6557 0.4165
O: 0.5846 0.1490 0.0934
O: 0.7549 0.6512 0.5715
O: 0.7711 0.6980 0.2489
O: 0.8210 0.1346 0.4254
Si: 0.8300 0.0282 0.0828
S: 0.3312 0.0371 0.0816
O: 0.4000 0.9890 0.6953
In: 0.3322 0.3474 0.4915
O: 0.7641 0.8435 0.4680
O: 0.7623 0.8905 0.3619
O: 0.4942 0.1787 0.3075
Ti: 0.5109 0.0030 0.6414
O: 0.2643 0.6850 0.9687
O: 0.2434 0.3424 0.4188
S: 0.8094 0.9587 0.4180
O: 0.2315 0.3027 0.7508
O: 0.6408 0.4678 0.7463
O: 0.6520 0.4759 0.4729
O: 0.2429 0.1069 0.6383
O: 0.2308 0.1505 0.2448
O: 0.3272 0.1423 0.4245
S: 0.9858 0.6353 0.0855
O: 0.9018 0.8277 0.9130
Ti: 0.0032 0.0168 0.1377
S: 0.3545 0.0024 0.7465
Si: 0.6633 0.3679 0.4175
O: 0.8644 0.1575 0.0274
S: 0.3103 0.6616 0.9177
O: 0.9871 0.1746 0.5868
O: 0.7626 0.8248 0.7539
O: 0.4016 0.9764 0.4118
O: 0.6514 0.8441 0.2566
Si: 0.1624 0.9581 0.9180
O: 0.5935 0.0175 0.5890
O: 0.0872 0.1976 0.4148
O: 0.4316 0.3059 0.5317
O: 0.7740 0.6914 0.9721
In: 0.6675 0.6509 0.3160
O: 0.2391 0.3084 0.0276
O: 0.4490 0.3655 0.6382
O: 0.8973 0.9756 0.4157
O: 0.6923 0.4847 0.3590
O: 0.2490 0.1520 0.9301
O: 0.8158 0.5243 0.6341
S: 0.1428 0.0013 0.2487
O: 0.5570 0.6462 0.3607
O: 0.0868 0.6822 0.7498
Na: 0.4995 0.9874 0.5009
O: 0.0910 0.6890 0.4678
O: 0.3208 0.5078 0.9262
O: 0.0684 0.4845 0.5721
O: 0.9307 0.5598 0.0339
O: 0.2616 0.8936 0.3651
O: 0.9060 0.7822 0.3018
O: 0.1064 0.0228 0.3051
S: 0.1682 0.3737 0.4171
Ti: 0.1642 0.6662 0.0166
O: 0.5862 0.9677 0.9174
In: 0.1696 0.6669 0.3162
O: 0.0916 0.1679 0.0915
O: 0.0590 0.4705 0.8618
Ti: 0.3258 0.3178 0.9782
Na: 0.4996 0.6316 0.2498
Na: 0.6647 0.3018 0.9167
O: 0.0768 0.4603 0.2483
Na: 0.9987 0.6293 0.2551
O: 0.9965 0.8121 0.8075
O: 0.2736 0.8560 0.4706
Na: 0.1746 0.6867 0.6643
Ti: 0.6638 0.6511 0.0232
O: 0.0543 0.6294 0.3522
Si: 0.3342 0.6431 0.5836
In: 0.9954 0.9909 0.3560
Ti: 0.4975 0.0133 0.1489
O: 0.7463 0.8376 0.0706
Ti: 0.6631 0.6581 0.5189
Ti: 0.4982 0.0162 0.3512
O: 0.3453 0.1482 0.0299
O: 0.1789 0.4670 0.3614
Ti: 0.8260 0.3356 0.4792
O: 0.4119 0.3054 0.2458
O: 0.4809 0.7781 0.8028
O: 0.1913 0.8968 0.8605
O: 0.9168 0.5209 0.7453
O: 0.7615 0.6327 0.8665
O: 0.9874 0.1882 0.3025
O: 0.3150 0.1074 0.1356
O: 0.8457 0.5443 0.5283
Na: 0.0005 0.3741 0.7481
O: 0.7395 0.3154 0.7467
O: 0.3646 0.5791 0.5262
O: 0.6768 0.8787 0.8627
O: 0.8493 0.5337 0.2432
O: 0.4094 0.8365 0.1930
O: 0.1453 0.8355 0.2498
O: 0.8598 0.1774 0.7507
O: 0.9211 0.3130 0.2441
O: 0.9494 0.5325 0.1400
Na: 0.8274 0.3265 0.8238
O: 0.0145 0.8327 0.6915
O: 0.0929 0.2038 0.6987
Si: 0.8576 0.9938 0.7515
O: 0.2608 0.7033 0.2535
O: 0.1010 0.1807 0.8061
In: 0.8214 0.3151 0.1772
O: 0.9169 0.0017 0.0954
Na: 0.4986 0.3624 0.7532
O: 0.5112 0.8229 0.4146
O: 0.4175 0.8381 0.5967
O: 0.8121 0.0981 0.1435
O: 0.2430 0.3824 0.1425
O: 0.6009 0.0211 0.3059
Na: 0.1661 0.0215 0.4272
O: 0.4328 0.5043 0.4217
O: 0.7431 0.1387 0.9185
O: 0.4191 0.8229 0.3091
Na: 0.3378 0.3440 0.3299
In: 0.6668 0.6578 0.8116
O: 0.9225 0.3114 0.5315
S: 0.8565 0.7095 0.2462
O: 0.5516 0.4789 0.8550
O: 0.4014 0.0247 0.8028
O: 0.5889 0.4917 0.9697
O: 0.6647 0.8583 0.9701
O: 0.2610 0.6313 0.8628
O: 0.0769 0.9791 0.9124
Na: 0.6798 0.6855 0.6708
O: 0.5931 0.9819 0.1986
O: 0.1529 0.8279 0.9739
S: 0.8154 0.6679 0.9194
O: 0.9203 0.0136 0.8094
O: 0.5123 0.1882 0.9198
O: 0.3537 0.5346 0.2509
O: 0.0763 0.4688 0.9689
O: 0.9045 0.8162 0.1953
O: 0.7175 0.2941 0.0212
Na: 0.5019 0.0057 0.0025
O: 0.1509 0.4581 0.7568
Si: 0.6913 0.0380 0.5814
Si: 0.3562 0.7205 0.2515
Na: 0.3301 0.3238 0.8371
Ti: 0.9984 0.9828 0.6497
O: 0.9346 0.3651 0.9228
Na: 0.0007 0.9974 0.5058
O: 0.9103 0.8029 0.5860
S: 0.8317 0.6266 0.5810
O: 0.3084 0.5221 0.6414
O: 0.5119 0.1942 0.1917
Ti: 0.1631 0.6751 0.5258
O: 0.7318 0.1613 0.2508
O: 0.5750 0.6825 0.4679
O: 0.0040 0.1922 0.1958
O: 0.3472 0.1642 0.7439
O: 0.1651 0.8377 0.5737
O: 0.3970 0.8200 0.9151
O: 0.5727 0.4955 0.5761
O: 0.0163 0.8397 0.4162
O: 0.5833 0.4908 0.2503
Si: 0.6439 0.2866 0.7501
O: 0.6735 0.8407 0.5643
O: 0.1620 0.4637 0.4688
O: 0.4973 0.1829 0.5893
O: 0.7477 0.1008 0.6395
S: 0.6672 0.9548 0.9175
S: 0.4955 0.7073 0.7480
O: 0.2465 0.6567 0.5689
O: 0.0729 0.6522 0.0772
Si: 0.0021 0.7070 0.7484
In: 0.1693 0.6862 0.8150
Si: 0.5179 0.3790 0.9176
O: 0.9112 0.9813 0.6932
O: 0.0866 0.9842 0.1986
O: 0.5773 0.1748 0.4103

Properties
* formation enthalpy at 0 K: -2.46 eV per atom
* calculated total energy: -1480.1 eV/cell
* space-group type: P1


(2)
Below is crystalline Li3CuSiO4 at its relaxed geometry, with properties calculated at the PBE level.

Unit cell a=9.9792 b=9.9792 c=9.9792 alpha=114.83 beta=114.83 gamma=99.21
Fractional positions:
Cu: 0.5308 0.0754 0.0087
Cu: 0.9246 0.9333 0.4554
O: 0.2706 0.3631 0.7566
Li: 0.2255 0.0342 0.1334
O: 0.6369 0.3934 0.9074
Li: 0.8492 0.1579 0.6334
Li: 0.5899 0.9520 0.6397
O: 0.4174 0.9801 0.2461
Li: 0.3341 0.9742 0.6669
Li: 0.7242 0.5573 0.1401
O: 0.5611 0.6670 0.8009
Li: 0.8421 0.4755 0.6913
O: 0.9213 0.6674 0.9373
O: 0.6066 0.5140 0.2434
O: 0.7340 0.1713 0.7539
Li: 0.9658 0.0992 0.1913
Si: 0.0052 0.7880 0.1511
Cu: 0.8254 0.3167 0.0446
O: 0.1889 0.5830 0.6991
O: 0.1434 0.7360 0.2566
Cu: 0.6833 0.7279 0.5087
O: 0.0199 0.2660 0.4373
O: 0.6504 0.2709 0.2758
Li: 0.3073 0.6672 0.3331
O: 0.2640 0.5206 0.4074
Si: 0.1131 0.3959 0.6511
Li: 0.7842 0.1508 0.3087
O: 0.7301 0.9840 0.0627
Si: 0.5380 0.8869 0.2829
O: 0.7550 0.8754 0.7758
O: 0.4860 0.7294 0.0926
O: 0.8839 0.4898 0.3009
Li: 0.0480 0.6876 0.6379
Si: 0.7448 0.4620 0.3489
Cu: 0.0667 0.5221 0.9913
O: 0.3330 0.1339 0.8941
O: 0.8287 0.5826 0.5627
O: 0.2398 0.4389 0.1059
O: 0.0209 0.2450 0.1205
Si: 0.6369 0.8541 0.8489
Li: 0.3328 0.6659 0.6401
O: 0.6254 0.3496 0.6205
O: 0.1131 0.8566 0.5926
Li: 0.7020 0.5624 0.8621
O: 0.1246 0.9004 0.8795
O: 0.5102 0.8111 0.3941
Cu: 0.2192 0.1746 0.4913
O: 0.3326 0.2699 0.2539
Li: 0.4172 0.5841 0.8599
Li: 0.4159 0.2758 0.8331
Li: 0.4376 0.2998 0.1397
O: 0.4794 0.8869 0.7434
O: 0.0160 0.0787 0.7461
O: 0.4170 0.1161 0.6059
Si: 0.1459 0.9948 0.7829
O: 0.9950 0.3746 0.7242
Si: 0.6041 0.2552 0.7171
Li: 0.0498 0.4101 0.3621
O: 0.8661 0.7602 0.1991
Li: 0.9079 0.7745 0.8087
O: 0.7291 0.0050 0.3795
Li: 0.9008 0.0921 0.8666
Li: 0.7002 0.8399 0.1379
O: 0.0996 0.9791 0.2242
Li: 0.5245 0.2158 0.3666
Li: 0.1601 0.2980 0.8603
Cu: 0.4779 0.4692 0.5446
Cu: 0.2721 0.7808 0.9554
Li: 0.4427 0.5828 0.1669
Li: 0.3124 0.9502 0.3603
Si: 0.2120 0.3631 0.2171
Li: 0.0258 0.6927 0.3599

Properties
* formation enthalpy at 0 K: -2.31 eV per atom
* calculated total energy: -424.5 eV/cell
* space-group type: I4_1/a


Across the entries above, spin magnetization takes the values 0.000 0.000 μB per atom, respectively.
Across the entries above, calculated density takes the values 3.058 3.138 g/cm3, respectively.